1.
Density functional theory data (PBE) for GdDyIr2 after structural relaxation.

```
GdDyIr2
1.0
0.000 3.446 3.446
3.446 0.000 3.446
3.446 3.446 0.000
Gd Dy Ir
1 1 2
Direct
0.000 0.000 0.000
0.500 0.500 0.500
0.250 0.250 0.250
0.750 0.750 0.750
```

***

2.
Density functional theory data (PBE) for EuBO3 after structural relaxation.

```
EuBO3
1.0
6.380 0.000 0.000
-1.830 6.324 0.000
-1.905 -0.937 6.241
Eu B O
4 4 12
Direct
0.039 0.264 0.330
0.446 0.813 0.224
0.554 0.187 0.776
0.961 0.736 0.670
0.020 0.241 0.779
0.488 0.277 0.266
0.512 0.723 0.734
0.980 0.759 0.221
0.037 0.774 0.037
0.084 0.641 0.365
0.148 0.129 0.714
0.381 0.136 0.384
0.381 0.797 0.838
0.446 0.467 0.253
0.554 0.533 0.747
0.619 0.203 0.162
0.619 0.864 0.616
0.852 0.871 0.286
0.916 0.359 0.635
0.963 0.226 0.963
```

* corrected total energy (MP2020 scheme): -9.461 eV per atom

***

3.
Density functional theory data (PBE) for BaPb2BrF5 after structural relaxation.

```
BaPb2BrF5
1.0
6.043 0.000 0.000
0.000 6.043 0.000
0.000 0.000 9.874
Ba Pb Br F
2 4 2 10
Direct
0.250 0.750 0.000
0.750 0.250 0.000
0.250 0.250 0.276
0.250 0.250 0.678
0.750 0.750 0.322
0.750 0.750 0.724
0.250 0.750 0.500
0.750 0.250 0.500
0.015 0.015 0.812
0.015 0.485 0.812
0.250 0.250 0.040
0.485 0.015 0.812
0.485 0.485 0.812
0.515 0.515 0.188
0.515 0.985 0.188
0.750 0.750 0.960
0.985 0.515 0.188
0.985 0.985 0.188
```

* corrected total energy (MP2020 scheme): -5.168 eV per atom

***

4.
Density functional theory data (PBE) for CsSO3 after structural relaxation.

```
CsSO3
1.0
3.148 1.817 3.489
-3.148 1.817 3.489
0.000 -3.635 3.489
Cs S O
1 1 3
Direct
0.000 0.000 0.000
0.446 0.446 0.446
0.143 0.540 0.540
0.540 0.143 0.540
0.540 0.540 0.143
```

* corrected total energy (MP2020 scheme): -5.862 eV per atom

***

For the records above, the corresponding calculated total energy values read -0.7262 -0.6650 -0.3610 -0.4006 Ry per atom.
For the records above, the corresponding ΔE_f values read -790.0 -3104.5 -2884.0 -1887.3 meV per atom.